Tm2B6Ru: optimized geometry, PBE. Values from VASP.

The structure in Quantum ESPRESSO input format:
```
&SYSTEM
  ibrav = 0, nat = 36, ntyp = 3
/
ATOMIC_SPECIES
B 10.81 B.upf
Ru 101.07 Ru.upf
Tm 168.93 Tm.upf
CELL_PARAMETERS angstrom
3.622 0.000 0.000
0.000 9.065 0.000
0.000 0.000 11.431
ATOMIC_POSITIONS crystal
B 0.500 0.751 0.920
B 0.500 0.517 0.713
B 0.500 0.292 0.234
B 0.500 0.208 0.734
B 0.500 0.483 0.287
B 0.500 0.132 0.315
B 0.500 0.109 0.470
B 0.500 0.946 0.933
B 0.500 0.446 0.567
B 0.500 0.792 0.266
B 0.500 0.391 0.970
B 0.500 0.251 0.580
B 0.500 0.891 0.530
B 0.500 0.249 0.080
B 0.500 0.632 0.185
B 0.500 0.749 0.420
B 0.500 0.554 0.433
B 0.500 0.054 0.067
B 0.500 0.368 0.815
B 0.500 0.609 0.030
B 0.500 0.868 0.685
B 0.500 0.983 0.213
B 0.500 0.708 0.766
B 0.500 0.017 0.787
Ru 0.000 0.362 0.679
Ru 0.000 0.638 0.321
Ru 0.000 0.862 0.821
Ru 0.000 0.138 0.179
Tm 0.000 0.944 0.373
Tm 0.000 0.678 0.586
Tm 0.000 0.556 0.873
Tm 0.000 0.178 0.914
Tm 0.000 0.822 0.086
Tm 0.000 0.322 0.414
Tm 0.000 0.056 0.627
Tm 0.000 0.444 0.127
```

As for the space group: Pbam. For the volume, the calculation gives 10.424 A^3/atom. The value obtained for the formation energy is -6.51 eV/f.u.

TmB4Ru: optimized geometry, PBE. Values from VASP.

The structure in Quantum ESPRESSO input format:
```
&SYSTEM
  ibrav = 0, nat = 24, ntyp = 3
/
ATOMIC_SPECIES
B 10.81 B.upf
Ru 101.07 Ru.upf
Tm 168.93 Tm.upf
CELL_PARAMETERS angstrom
-2.410 1.613 2.012
-4.209 -3.535 -2.207
1.947 -7.553 8.387
ATOMIC_POSITIONS crystal
B 0.000 0.113 0.547
B 0.000 0.365 0.470
B 0.000 0.135 0.970
B 0.000 0.209 0.814
B 0.000 0.523 0.808
B 0.000 0.791 0.186
B 0.000 0.477 0.192
B 0.000 0.387 0.047
B 0.000 0.709 0.686
B 0.000 0.613 0.953
B 0.000 0.023 0.692
B 0.000 0.635 0.530
B 0.000 0.977 0.308
B 0.000 0.887 0.453
B 0.000 0.291 0.314
B 0.000 0.865 0.030
Ru 0.500 0.141 0.407
Ru 0.500 0.859 0.593
Ru 0.500 0.359 0.907
Ru 0.500 0.641 0.093
Tm 0.500 0.371 0.650
Tm 0.500 0.129 0.150
Tm 0.500 0.629 0.350
Tm 0.500 0.871 0.850
```

As for the space group: Pbam. For the volume, the calculation gives 9.978 A^3/atom. The value obtained for the formation energy is -3.93 eV/f.u.